BaLaCl5: relaxed, GGA-PBE.

Values from the calculation:
As for the calculated density: 3.399 g cm⁻³. The relative energy among the computed polymorphs comes out at 0.001 eV/atom. The electronic total energy is -131.85 eV per cell. As for the formation energy: -2.85 eV per atom.

Cell lengths 12.4669, 7.1333, 9.9779 Å; angles 87.12, 90.00, 90.00 degrees
Sites, in units of the cell vectors:
Cl (0.2896, 0.1478, 0.2147)
Cl (0.7706, 0.9550, 0.4111)
Ba (0.3631, 0.4494, 0.6250)
La (0.6211, 0.9861, 0.6127)
Ba (0.8631, 0.5506, 0.3750)
La (0.2137, 0.5251, 0.1058)
La (0.7137, 0.4749, 0.8942)
Cl (0.7386, 0.3518, 0.6255)
Cl (0.5320, 0.6850, 0.7863)
Cl (0.2243, 0.7973, 0.9051)
Cl (0.0320, 0.3150, 0.2137)
Cl (0.7218, 0.6892, 0.1220)
Ba (0.5275, 0.9660, 0.1761)
Cl (0.2218, 0.3108, 0.8780)
Cl (0.0146, 0.7699, 0.5692)
Cl (0.5198, 0.7319, 0.4477)
Cl (0.5288, 0.1889, 0.8283)
Cl (0.0198, 0.2681, 0.5523)
Cl (0.7896, 0.8522, 0.7853)
Cl (0.7243, 0.2027, 0.0949)
Cl (0.2386, 0.6482, 0.3745)
Cl (0.9329, 0.4288, 0.8881)
Cl (0.0288, 0.8111, 0.1717)
Cl (0.2706, 0.0450, 0.5889)
Cl (0.5146, 0.2301, 0.4308)
La (0.1211, 0.0139, 0.3873)
Ba (0.0275, 0.0340, 0.8239)
Cl (0.4329, 0.5712, 0.1119)


BaLaCl5: relaxed, GGA-PBE.

Values from the calculation:
As for the calculated density: 3.243 g cm⁻³. The relative energy among the computed polymorphs comes out at 0.013 eV/atom. The electronic total energy is -65.74 eV per cell. As for the formation energy: -2.83 eV per atom.

Cell lengths 4.5751, 7.7793, 13.0637 Å; angles 87.07, 90.00, 90.00 degrees
Sites, in units of the cell vectors:
Cl (0.7500, 0.9206, 0.6603)
Cl (0.2500, 0.6704, 0.5202)
La (0.7500, 0.5636, 0.6539)
Cl (0.7500, 0.1548, 0.9244)
La (0.2500, 0.4364, 0.3461)
Ba (0.2500, 0.9447, 0.8432)
Ba (0.7500, 0.0553, 0.1568)
Cl (0.2500, 0.3627, 0.1414)
Cl (0.2500, 0.3628, 0.7171)
Cl (0.7500, 0.6373, 0.8586)
Cl (0.2500, 0.8452, 0.0756)
Cl (0.7500, 0.3296, 0.4798)
Cl (0.2500, 0.0794, 0.3397)
Cl (0.7500, 0.6372, 0.2829)


BaLaCl5: relaxed, GGA-PBE.

Values from the calculation:
As for the calculated density: 3.619 g cm⁻³. The relative energy among the computed polymorphs comes out at 0.021 eV/atom. The electronic total energy is -131.28 eV per cell. As for the formation energy: -2.83 eV per atom.

Cell lengths 5.9483, 7.3127, 19.1359 Å; angles 90.00, 90.00, 90.00 degrees
Sites, in units of the cell vectors:
Ba (0.2817, 0.7500, 0.4436)
Ba (0.2183, 0.7500, 0.9436)
Cl (0.7570, 0.9936, 0.9140)
Cl (0.2365, 0.5226, 0.7926)
Cl (0.2230, 0.2500, 0.4370)
Cl (0.2430, 0.0064, 0.0860)
Cl (0.2570, 0.4936, 0.5860)
Cl (0.7770, 0.7500, 0.5630)
La (0.9332, 0.2500, 0.3213)
Cl (0.2635, 0.5226, 0.2926)
Cl (0.7430, 0.9936, 0.4140)
Cl (0.2570, 0.0064, 0.5860)
La (0.5668, 0.2500, 0.8213)
Cl (0.7365, 0.0226, 0.7074)
Cl (0.7570, 0.5064, 0.9140)
Cl (0.2635, 0.9774, 0.2926)
Cl (0.7635, 0.4774, 0.2074)
Cl (0.7365, 0.4774, 0.7074)
Ba (0.7817, 0.2500, 0.0564)
La (0.0668, 0.7500, 0.6787)
La (0.4332, 0.7500, 0.1787)
Cl (0.2770, 0.2500, 0.9370)
Cl (0.7635, 0.0226, 0.2074)
Cl (0.7430, 0.5064, 0.4140)
Cl (0.2430, 0.4936, 0.0860)
Cl (0.7230, 0.7500, 0.0630)
Cl (0.2365, 0.9774, 0.7926)
Ba (0.7183, 0.2500, 0.5564)


BaLaCl5: relaxed, GGA-PBE.

Values from the calculation:
As for the calculated density: 3.613 g cm⁻³. The relative energy among the computed polymorphs comes out at 0.014 eV/atom. The electronic total energy is -131.48 eV per cell. As for the formation energy: -2.83 eV per atom.

Cell lengths 7.2570, 10.2686, 11.1883 Å; angles 90.00, 90.00, 90.00 degrees
Sites, in units of the cell vectors:
Ba (0.7500, 0.3778, 0.8298)
Cl (0.4817, 0.8385, 0.4371)
Cl (0.0183, 0.8385, 0.4371)
Cl (0.0007, 0.5363, 0.6433)
Cl (0.7500, 0.6903, 0.2041)
Cl (0.4993, 0.9637, 0.1433)
Cl (0.9993, 0.4637, 0.3567)
Cl (0.5007, 0.4637, 0.3567)
Cl (0.7500, 0.8097, 0.7041)
Cl (0.5007, 0.0363, 0.8567)
Ba (0.2500, 0.8778, 0.6702)
Cl (0.0183, 0.6615, 0.9371)
La (0.2500, 0.3476, 0.5301)
Cl (0.2500, 0.3097, 0.7959)
Cl (0.5183, 0.3385, 0.0629)
La (0.7500, 0.8476, 0.9699)
Cl (0.2500, 0.1903, 0.2959)
La (0.7500, 0.6524, 0.4699)
Cl (0.9817, 0.3385, 0.0629)
Cl (0.4993, 0.5363, 0.6433)
Cl (0.4817, 0.6615, 0.9371)
Ba (0.2500, 0.6222, 0.1702)
Cl (0.0007, 0.9637, 0.1433)
Cl (0.9993, 0.0363, 0.8567)
Cl (0.5183, 0.1615, 0.5629)
Cl (0.9817, 0.1615, 0.5629)
Ba (0.7500, 0.1222, 0.3298)
La (0.2500, 0.1524, 0.0301)


BaLaCl5: relaxed, GGA-PBE.

Values from the calculation:
As for the calculated density: 3.269 g cm⁻³. The relative energy among the computed polymorphs comes out at 0.015 eV/atom. The electronic total energy is -262.89 eV per cell. As for the formation energy: -2.83 eV per atom.

Cell lengths 9.7759, 9.6212, 19.6525 Å; angles 85.66, 90.00, 90.00 degrees
Sites, in units of the cell vectors:
Ba (0.8435, 0.9999, 0.3615)
Cl (0.6660, 0.9675, 0.0261)
Cl (0.8528, 0.6660, 0.8517)
La (0.6289, 0.5062, 0.8393)
Cl (0.6768, 0.9752, 0.2126)
Cl (0.4270, 0.3662, 0.4649)
Cl (0.4666, 0.3122, 0.2704)
Cl (0.0730, 0.3662, 0.9649)
Ba (0.3441, 0.6835, 0.4140)
Cl (0.0221, 0.0217, 0.1035)
Cl (0.3232, 0.0248, 0.7874)
Cl (0.9955, 0.2813, 0.5941)
La (0.3201, 0.1799, 0.3782)
Cl (0.8232, 0.9752, 0.7126)
La (0.8201, 0.8201, 0.1218)
Ba (0.1565, 0.0001, 0.6385)
Cl (0.1448, 0.4109, 0.3538)
Cl (0.5221, 0.9783, 0.3965)
Cl (0.8340, 0.9675, 0.5261)
Cl (0.3340, 0.0325, 0.9739)
Cl (0.9270, 0.6338, 0.0351)
Ba (0.6559, 0.3165, 0.5860)
Ba (0.3435, 0.0001, 0.1385)
Ba (0.6565, 0.9999, 0.8615)
Cl (0.1472, 0.3340, 0.1483)
Ba (0.8441, 0.3165, 0.0860)
Cl (0.1768, 0.0248, 0.2874)
La (0.1289, 0.4938, 0.6607)
Cl (0.0334, 0.3122, 0.7704)
La (0.3711, 0.4938, 0.1607)
Cl (0.9779, 0.9783, 0.8965)
Cl (0.5334, 0.6878, 0.7296)
Cl (0.6448, 0.5891, 0.1462)
Ba (0.1559, 0.6835, 0.9140)
Cl (0.0045, 0.7187, 0.4059)
Cl (0.5045, 0.2813, 0.0941)
Cl (0.6615, 0.2913, 0.7529)
Cl (0.4779, 0.0217, 0.6035)
La (0.8711, 0.5062, 0.3393)
Cl (0.5730, 0.6338, 0.5351)
Cl (0.8385, 0.2913, 0.2529)
Cl (0.1660, 0.0325, 0.4739)
Cl (0.1615, 0.7087, 0.7471)
Cl (0.9666, 0.6878, 0.2296)
Cl (0.3528, 0.3340, 0.6483)
Cl (0.4955, 0.7187, 0.9059)
Cl (0.8552, 0.5891, 0.6462)
Cl (0.3385, 0.7087, 0.2471)
Cl (0.6472, 0.6660, 0.3517)
La (0.6799, 0.8201, 0.6218)
Cl (0.7968, 0.2941, 0.4362)
Cl (0.7032, 0.2941, 0.9362)
Cl (0.2032, 0.7059, 0.5638)
Cl (0.2968, 0.7059, 0.0638)
Cl (0.3552, 0.4109, 0.8538)
La (0.1799, 0.1799, 0.8782)


BaLaCl5: relaxed, GGA-PBE.

Values from the calculation:
As for the calculated density: 3.673 g cm⁻³. The relative energy among the computed polymorphs comes out at 0.008 eV/atom. The electronic total energy is -197.46 eV per cell. As for the formation energy: -2.84 eV per atom.

Cell lengths 9.2848, 10.7901, 13.4501 Å; angles 78.30, 76.87, 71.22 degrees
Sites, in units of the cell vectors:
La (0.2164, 0.3499, 0.9220)
Ba (0.7729, 0.8069, 0.4423)
La (0.7836, 0.6501, 0.0780)
Cl (0.6681, 0.5665, 0.2850)
Cl (0.3888, 0.8910, 0.4574)
Cl (0.9829, 0.6065, 0.8831)
Cl (0.3846, 0.4281, 0.4562)
Cl (0.6388, 0.9017, 0.2105)
Cl (0.3317, 0.5256, 0.9815)
La (0.2533, 0.6658, 0.5730)
Cl (0.1471, 0.7502, 0.3695)
Cl (0.0107, 0.1095, 0.3930)
Cl (0.0171, 0.3935, 0.1169)
La (0.7467, 0.3342, 0.4270)
Cl (0.8529, 0.2498, 0.6305)
Cl (0.0354, 0.0036, 0.1542)
Ba (0.2528, 0.8469, 0.9372)
Ba (0.7472, 0.1531, 0.0628)
Ba (0.7235, 0.5012, 0.7694)
Cl (0.4057, 0.7508, 0.1338)
Cl (0.9979, 0.5629, 0.6034)
Cl (0.3473, 0.1195, 0.0566)
Cl (0.6527, 0.8805, 0.9434)
Cl (0.6154, 0.5719, 0.5438)
Cl (0.6812, 0.2407, 0.2737)
Cl (0.9893, 0.8905, 0.6070)
Cl (0.9646, 0.9964, 0.8458)
Cl (0.0021, 0.4371, 0.3966)
Cl (0.5943, 0.2492, 0.8662)
Cl (0.3417, 0.1962, 0.2970)
La (0.2804, 0.9768, 0.2551)
Cl (0.6583, 0.8038, 0.7030)
Cl (0.6683, 0.4744, 0.0185)
Cl (0.9785, 0.2822, 0.8770)
Cl (0.3612, 0.0983, 0.7895)
Cl (0.6112, 0.1090, 0.5426)
Ba (0.2271, 0.1931, 0.5577)
Cl (0.3188, 0.7593, 0.7263)
Cl (0.0215, 0.7178, 0.1230)
La (0.7196, 0.0232, 0.7449)
Cl (0.3319, 0.4335, 0.7150)
Ba (0.2765, 0.4988, 0.2306)


BaLaCl5: relaxed, GGA-PBE.

Values from the calculation:
As for the calculated density: 2.659 g cm⁻³. The relative energy among the computed polymorphs comes out at 0.006 eV/atom. The electronic total energy is -65.85 eV per cell. As for the formation energy: -2.84 eV per atom.

Cell lengths 7.8152, 7.8152, 10.8059 Å; angles 69.87, 69.87, 71.38 degrees
Sites, in units of the cell vectors:
La (0.0000, 0.0000, 0.5000)
Cl (0.2945, 0.6826, 0.9697)
Cl (0.9031, 0.0969, 0.7500)
Cl (0.0969, 0.9031, 0.2500)
Cl (0.2154, 0.2576, 0.3778)
Cl (0.7846, 0.7425, 0.6222)
Cl (0.3174, 0.7055, 0.5303)
Ba (0.4549, 0.5451, 0.2500)
La (0.0000, 0.0000, 0.0000)
Cl (0.2576, 0.2154, 0.8778)
Cl (0.7055, 0.3174, 0.0303)
Cl (0.6826, 0.2945, 0.4697)
Cl (0.7425, 0.7846, 0.1222)
Ba (0.5451, 0.4549, 0.7500)


Ba5La2Cl16: relaxed, GGA-PBE.

Values from the calculation:
As for the calculated density: 3.187 g cm⁻³. The electronic total energy is -210.05 eV per cell. As for the formation energy: -2.86 eV per atom.

Cell lengths 9.5632, 9.5632, 19.3327 Å; angles 90.00, 90.00, 115.47 degrees
Sites, in units of the cell vectors:
Ba (0.0000, 0.0000, 0.0000)
Cl (0.8259, 0.1291, 0.6150)
Cl (0.8709, 0.1741, 0.3850)
Ba (0.5000, 0.5000, 0.7765)
Cl (0.1223, 0.2258, 0.1505)
Ba (0.5000, 0.5000, 0.2235)
Cl (0.3777, 0.2742, 0.3495)
Ba (0.0000, 0.0000, 0.2765)
Ba (0.0000, 0.0000, 0.7235)
La (0.5000, 0.0000, 0.1179)
Cl (0.2742, 0.3777, 0.6505)
Ba (0.0000, 0.5000, 0.1334)
Cl (0.0284, 0.6989, 0.7743)
Cl (0.8276, 0.5189, 0.4926)
Cl (0.4716, 0.8011, 0.7257)
Ba (0.5000, 0.0000, 0.3666)
Cl (0.3276, 0.0189, 0.0074)
Cl (0.6223, 0.7258, 0.3495)
Cl (0.3709, 0.6741, 0.1150)
Cl (0.7258, 0.6223, 0.6505)
Cl (0.6741, 0.3709, 0.8850)
Cl (0.1291, 0.8259, 0.3850)
Cl (0.5284, 0.1989, 0.7257)
Cl (0.7742, 0.8777, 0.8495)
Cl (0.1741, 0.8709, 0.6150)
Cl (0.1989, 0.5284, 0.2743)
Ba (0.5000, 0.0000, 0.8666)
Cl (0.8777, 0.7742, 0.1505)
Cl (0.6989, 0.0284, 0.2257)
Cl (0.2258, 0.1223, 0.8495)
Cl (0.9716, 0.3011, 0.7743)
Cl (0.6291, 0.3259, 0.1150)
Ba (0.5000, 0.5000, 0.5000)
Ba (0.0000, 0.5000, 0.6334)
La (0.0000, 0.5000, 0.3821)
Cl (0.6724, 0.9811, 0.0074)
Cl (0.3011, 0.9716, 0.2257)
Cl (0.9811, 0.6724, 0.9926)
Cl (0.5189, 0.8276, 0.5074)
Cl (0.0189, 0.3276, 0.9926)
La (0.5000, 0.0000, 0.6179)
Cl (0.4811, 0.1724, 0.5074)
La (0.0000, 0.5000, 0.8821)
Cl (0.3259, 0.6291, 0.8850)
Cl (0.8011, 0.4716, 0.2743)
Cl (0.1724, 0.4811, 0.4926)


BaLaCl5: relaxed, GGA-PBE.

Values from the calculation:
As for the calculated density: 2.712 g cm⁻³. The relative energy among the computed polymorphs comes out at 0.002 eV/atom. The electronic total energy is -131.80 eV per cell. As for the formation energy: -2.85 eV per atom.

Cell lengths 14.0930, 7.7974, 10.7414 Å; angles 70.20, 90.00, 90.00 degrees
Sites, in units of the cell vectors:
Cl (0.1329, 0.8201, 0.1403)
La (0.7466, 0.8940, 0.9001)
Cl (0.6329, 0.1799, 0.3597)
Cl (0.6134, 0.6038, 0.9469)
Cl (0.9021, 0.1254, 0.3077)
Cl (0.8035, 0.8367, 0.6654)
Cl (0.1965, 0.1633, 0.3346)
Ba (0.4794, 0.4686, 0.7567)
La (0.7534, 0.8940, 0.4001)
Cl (0.8930, 0.6345, 0.9960)
Cl (0.5979, 0.1254, 0.8077)
La (0.2466, 0.1060, 0.5999)
Cl (0.6965, 0.8367, 0.1654)
Cl (0.3035, 0.1633, 0.8346)
Ba (0.5206, 0.5314, 0.2433)
Cl (0.3866, 0.3962, 0.0531)
Cl (0.6070, 0.6345, 0.4960)
Cl (0.0979, 0.8746, 0.6923)
Ba (0.9794, 0.5314, 0.7433)
Cl (0.1134, 0.3962, 0.5531)
Cl (0.1070, 0.3655, 0.0040)
Cl (0.3930, 0.3655, 0.5040)
La (0.2534, 0.1060, 0.0999)
Ba (0.0206, 0.4686, 0.2567)
Cl (0.4021, 0.8746, 0.1923)
Cl (0.8671, 0.1799, 0.8597)
Cl (0.8866, 0.6038, 0.4469)
Cl (0.3671, 0.8201, 0.6403)


Ba5LiMo2N7Cl2: relaxed, GGA-PBE.

Values from the calculation:
As for the calculated density: 4.464 g cm⁻³. The electronic total energy is -229.50 eV per cell. As for the formation energy: -1.22 eV per atom.

Cell lengths 6.1434, 11.2694, 11.3841 Å; angles 95.54, 90.00, 90.00 degrees
Sites, in units of the cell vectors:
Ba (0.7500, 0.5041, 0.1215)
N (0.7500, 0.9511, 0.7044)
N (0.5074, 0.8314, 0.4890)
Ba (0.7500, 0.2033, 0.7023)
N (0.5045, 0.4413, 0.6742)
Cl (0.7500, 0.7946, 0.1669)
Li (0.7500, 0.6705, 0.3746)
Ba (0.7500, 0.0176, 0.3686)
N (0.2500, 0.0489, 0.2956)
N (0.7500, 0.6801, 0.6628)
Mo (0.7500, 0.5274, 0.7257)
N (0.4926, 0.1686, 0.5110)
Ba (0.7500, 0.8062, 0.8842)
Ba (0.7500, 0.3751, 0.4390)
Ba (0.2500, 0.6249, 0.5610)
N (0.9955, 0.4413, 0.6742)
Ba (0.2500, 0.4959, 0.8785)
Li (0.2500, 0.3295, 0.6254)
N (0.7500, 0.5618, 0.8902)
N (0.0074, 0.1686, 0.5110)
Ba (0.2500, 0.7967, 0.2977)
N (0.0045, 0.5587, 0.3258)
Mo (0.7500, 0.8250, 0.5855)
Cl (0.7500, 0.2112, 0.1422)
N (0.2500, 0.4382, 0.1098)
N (0.4955, 0.5587, 0.3258)
Ba (0.2500, 0.9824, 0.6314)
Ba (0.2500, 0.1938, 0.1158)
Mo (0.2500, 0.1750, 0.4145)
N (0.9926, 0.8314, 0.4890)
N (0.2500, 0.3199, 0.3372)
Mo (0.2500, 0.4726, 0.2743)
Cl (0.2500, 0.2054, 0.8331)
Cl (0.2500, 0.7888, 0.8578)


Repeat the eighth record exactly.
Ba5La2Cl16: relaxed, GGA-PBE.

Values from the calculation:
As for the calculated density: 3.187 g cm⁻³. The electronic total energy is -210.05 eV per cell. As for the formation energy: -2.86 eV per atom.

Cell lengths 9.5632, 9.5632, 19.3327 Å; angles 90.00, 90.00, 115.47 degrees
Sites, in units of the cell vectors:
Ba (0.0000, 0.0000, 0.0000)
Cl (0.8259, 0.1291, 0.6150)
Cl (0.8709, 0.1741, 0.3850)
Ba (0.5000, 0.5000, 0.7765)
Cl (0.1223, 0.2258, 0.1505)
Ba (0.5000, 0.5000, 0.2235)
Cl (0.3777, 0.2742, 0.3495)
Ba (0.0000, 0.0000, 0.2765)
Ba (0.0000, 0.0000, 0.7235)
La (0.5000, 0.0000, 0.1179)
Cl (0.2742, 0.3777, 0.6505)
Ba (0.0000, 0.5000, 0.1334)
Cl (0.0284, 0.6989, 0.7743)
Cl (0.8276, 0.5189, 0.4926)
Cl (0.4716, 0.8011, 0.7257)
Ba (0.5000, 0.0000, 0.3666)
Cl (0.3276, 0.0189, 0.0074)
Cl (0.6223, 0.7258, 0.3495)
Cl (0.3709, 0.6741, 0.1150)
Cl (0.7258, 0.6223, 0.6505)
Cl (0.6741, 0.3709, 0.8850)
Cl (0.1291, 0.8259, 0.3850)
Cl (0.5284, 0.1989, 0.7257)
Cl (0.7742, 0.8777, 0.8495)
Cl (0.1741, 0.8709, 0.6150)
Cl (0.1989, 0.5284, 0.2743)
Ba (0.5000, 0.0000, 0.8666)
Cl (0.8777, 0.7742, 0.1505)
Cl (0.6989, 0.0284, 0.2257)
Cl (0.2258, 0.1223, 0.8495)
Cl (0.9716, 0.3011, 0.7743)
Cl (0.6291, 0.3259, 0.1150)
Ba (0.5000, 0.5000, 0.5000)
Ba (0.0000, 0.5000, 0.6334)
La (0.0000, 0.5000, 0.3821)
Cl (0.6724, 0.9811, 0.0074)
Cl (0.3011, 0.9716, 0.2257)
Cl (0.9811, 0.6724, 0.9926)
Cl (0.5189, 0.8276, 0.5074)
Cl (0.0189, 0.3276, 0.9926)
La (0.5000, 0.0000, 0.6179)
Cl (0.4811, 0.1724, 0.5074)
La (0.0000, 0.5000, 0.8821)
Cl (0.3259, 0.6291, 0.8850)
Cl (0.8011, 0.4716, 0.2743)
Cl (0.1724, 0.4811, 0.4926)


> Number 7 is which compound?

BaLaCl5


> Among the records above, which one has the highest calculated density?

Ba5LiMo2N7Cl2


> Which formula does entry 6 have?

BaLaCl5